Entry 1:
AlH20RuCl6O10 PBE-GGA relaxed; magnetization = 1.0 μB/f.u.; mass density = 2.0 g/cm3; E_form = -1.263 eV per atom
1.0
11.565 0.000 0.000
0.000 7.103 0.000
0.000 6.677 10.468
Al H Ru Cl O
2 40 2 12 20
Cartesian
5.782 3.338 5.234 Al
0.000 0.000 0.000 Al
9.989 7.158 8.508 H
3.800 12.741 9.270 H
1.818 3.529 2.176 H
9.271 6.547 1.070 H
9.747 10.251 8.292 H
6.360 8.147 4.155 H
10.470 5.860 1.945 H
7.601 6.912 3.058 H
10.987 11.485 9.389 H
7.073 6.776 0.834 H
5.204 5.632 6.313 H
4.687 4.581 3.289 H
0.433 12.314 8.389 H
3.305 6.718 5.974 H
4.491 7.003 9.634 H
10.070 8.493 9.446 H
5.350 8.976 3.155 H
3.489 3.894 4.164 H
11.132 1.466 2.079 H
8.260 7.062 4.494 H
1.575 6.621 1.960 H
7.358 3.820 3.274 H
3.964 6.867 7.411 H
9.582 4.377 6.433 H
1.982 9.403 4.035 H
2.477 3.379 0.740 H
0.578 2.294 1.079 H
9.088 10.400 9.728 H
4.287 8.625 6.257 H
1.095 7.920 8.523 H
7.277 5.154 4.211 H
6.215 4.804 7.314 H
7.765 1.038 1.199 H
1.291 3.665 4.400 H
1.495 5.287 1.023 H
10.274 10.114 6.068 H
2.294 7.232 9.398 H
4.207 9.960 7.194 H
8.076 9.886 6.304 H
6.877 9.198 7.179 H
0.000 6.890 5.234 Ru
5.782 3.551 0.000 Ru
6.541 8.475 9.057 Cl
1.974 7.196 3.911 Cl
0.759 8.643 6.645 Cl
6.982 11.827 9.185 Cl
1.200 5.291 6.517 Cl
9.591 6.583 6.557 Cl
5.024 5.305 1.411 Cl
10.806 5.136 3.823 Cl
7.756 3.245 1.323 Cl
4.583 1.953 1.283 Cl
10.365 8.488 3.951 Cl
3.808 10.534 9.145 Cl
9.556 10.506 6.616 O
7.145 4.154 4.189 O
1.330 7.549 9.427 O
7.411 6.830 4.043 O
3.774 6.612 9.087 O
7.791 7.167 1.382 O
5.830 4.847 6.386 O
1.363 6.287 1.045 O
1.628 3.611 1.191 O
4.453 4.210 4.193 O
5.734 8.932 4.082 O
11.517 1.509 1.152 O
7.112 9.569 6.275 O
10.235 6.231 1.041 O
0.048 12.271 9.316 O
9.936 10.169 9.277 O
10.202 7.492 9.423 O
4.419 9.625 6.279 O
2.008 3.274 3.852 O
4.154 6.949 6.425 O


Entry 2:
AlHg2SbCl4 PBE-GGA relaxed; mass density = 4.5 g/cm3; E_form = -1.265 eV per atom
1.0
8.991 0.000 0.000
0.000 12.442 0.000
0.000 0.000 18.195
Al Hg Sb Cl
8 16 8 32
Cartesian
3.737 1.349 11.390 Al
0.758 4.872 2.292 Al
5.254 1.349 2.292 Al
0.758 7.570 6.806 Al
8.233 4.872 11.390 Al
5.254 11.093 6.806 Al
3.737 11.093 15.904 Al
8.233 7.570 15.904 Al
8.649 0.000 13.647 Hg
4.838 6.221 4.549 Hg
6.078 9.491 11.324 Hg
0.342 0.000 4.549 Hg
2.913 2.952 6.871 Hg
2.913 9.491 2.227 Hg
1.583 9.173 11.324 Hg
6.078 2.952 15.969 Hg
0.000 0.000 0.000 Hg
4.153 6.221 13.647 Hg
7.408 9.173 2.227 Hg
1.583 3.270 15.969 Hg
4.496 6.221 0.000 Hg
7.408 3.270 6.871 Hg
0.000 0.000 9.098 Hg
4.496 6.221 9.098 Hg
5.043 7.740 2.253 Sb
5.043 4.702 6.845 Sb
8.444 1.519 15.942 Sb
8.444 10.923 11.351 Sb
0.547 1.519 6.845 Sb
3.948 4.702 15.942 Sb
3.948 7.740 11.351 Sb
0.547 10.923 2.253 Sb
3.271 11.438 6.083 Cl
1.438 5.815 7.887 Cl
6.878 4.463 13.026 Cl
5.934 12.036 1.210 Cl
3.057 0.406 16.985 Cl
5.934 0.406 7.887 Cl
7.553 5.815 16.985 Cl
2.113 4.463 3.929 Cl
6.878 7.979 14.267 Cl
8.190 3.173 10.049 Cl
2.113 7.979 5.169 Cl
5.297 9.394 8.147 Cl
8.190 9.269 17.244 Cl
7.766 5.217 3.015 Cl
3.271 1.005 3.015 Cl
3.694 3.048 10.049 Cl
0.801 3.173 0.951 Cl
1.438 6.627 1.210 Cl
6.609 1.758 3.929 Cl
1.225 5.217 12.113 Cl
0.801 9.269 8.147 Cl
5.297 3.048 0.951 Cl
7.766 7.226 6.083 Cl
3.057 12.036 10.308 Cl
5.720 11.438 15.180 Cl
2.382 10.684 14.267 Cl
2.382 1.758 13.026 Cl
7.553 6.627 10.308 Cl
6.609 10.684 5.169 Cl
3.694 9.394 17.244 Cl
1.225 7.226 15.180 Cl
5.720 1.005 12.113 Cl


Entry 3:
AlHg2SbCl4 PBE-GGA relaxed; magnetization = 0.0 μB/f.u.; mass density = 4.5 g/cm3; E_form = -1.264 eV per atom
1.0
8.980 0.000 0.000
0.000 12.470 0.000
0.000 0.000 18.045
Al Hg Sb Cl
8 16 8 32
Cartesian
1.502 12.335 2.202 Al
7.529 8.843 11.440 Al
2.988 12.335 11.225 Al
5.992 6.100 6.820 Al
3.039 2.608 15.628 Al
5.942 8.843 2.418 Al
1.451 2.608 6.605 Al
7.478 6.100 15.843 Al
3.774 4.164 2.241 Hg
6.780 1.251 8.899 Hg
8.269 4.513 2.186 Hg
2.290 7.486 0.124 Hg
5.206 10.399 15.804 Hg
0.716 4.164 11.264 Hg
7.151 1.201 13.425 Hg
2.200 7.486 9.147 Hg
5.201 4.513 11.209 Hg
2.661 7.436 13.643 Hg
6.319 1.201 4.402 Hg
8.265 10.399 6.782 Hg
1.829 7.436 4.621 Hg
6.690 1.251 17.922 Hg
3.779 10.748 6.836 Hg
0.711 10.748 15.859 Hg
7.327 2.758 11.157 Sb
6.143 2.758 2.135 Sb
1.653 8.994 6.888 Sb
2.825 5.926 11.344 Sb
6.155 12.161 6.701 Sb
2.837 8.994 15.911 Sb
1.665 5.926 2.322 Sb
7.315 12.161 15.724 Sb
2.788 4.207 17.063 Cl
1.131 10.566 1.008 Cl
1.268 2.400 14.430 Cl
5.149 7.823 7.844 Cl
0.659 1.588 1.179 Cl
4.257 9.334 3.693 Cl
8.466 5.844 13.946 Cl
5.379 6.442 15.608 Cl
7.955 7.015 10.359 Cl
1.702 4.207 8.040 Cl
3.976 12.079 13.122 Cl
3.832 1.588 10.201 Cl
5.621 4.331 8.015 Cl
0.888 0.207 11.460 Cl
5.758 8.635 12.638 Cl
7.712 8.635 3.615 Cl
7.849 4.331 17.037 Cl
5.515 7.015 1.336 Cl
3.602 0.207 2.437 Cl
3.359 10.566 10.031 Cl
8.092 6.442 6.585 Cl
5.005 5.844 4.923 Cl
0.514 12.079 4.100 Cl
3.222 2.400 5.408 Cl
4.723 3.099 14.353 Cl
8.322 7.823 16.867 Cl
7.278 10.442 10.005 Cl
1.025 0.780 7.687 Cl
3.465 0.780 16.710 Cl
6.192 10.442 0.982 Cl
8.747 3.099 5.330 Cl
0.233 9.334 12.715 Cl


Entry 4:
AlICl6 PBE-GGA relaxed; mass density = 2.2 g/cm3; E_form = -1.325 eV per atom
1.0
11.863 0.000 0.000
0.000 6.354 0.000
0.000 1.099 7.354
Al I Cl
2 2 12
Cartesian
1.088 3.179 3.755 Al
7.020 4.274 3.599 Al
8.806 0.922 5.876 I
2.874 6.531 1.478 I
9.033 5.104 4.032 Cl
3.101 2.349 3.323 Cl
2.504 4.675 0.070 Cl
8.435 2.778 7.285 Cl
4.309 2.421 7.353 Cl
10.240 5.032 0.002 Cl
0.635 2.889 5.808 Cl
6.567 4.564 1.547 Cl
1.234 5.378 3.501 Cl
7.165 2.075 3.853 Cl
5.618 5.071 4.974 Cl
11.550 2.382 2.381 Cl


Entry 5:
AlI3Cl6 PBE-GGA relaxed; mass density = 2.7 g/cm3; E_form = -1.081 eV per atom
1.0
-6.540 -12.868 -1.352
-5.570 -11.827 6.267
-14.684 2.510 1.527
Al I Cl
4 12 24
Cartesian
-11.290 -8.013 2.109 Al
-8.266 -15.538 2.751 Al
-18.528 -6.646 3.691 Al
-15.504 -14.171 4.334 Al
-6.933 -11.022 4.248 I
-12.854 -0.842 2.134 I
-5.606 -2.198 0.632 I
-21.188 -19.986 5.810 I
-19.861 -11.163 2.195 I
-12.062 -11.927 5.024 I
-13.940 -21.342 4.309 I
-21.958 -17.789 4.030 I
-12.473 -3.456 0.864 I
-14.733 -10.257 1.418 I
-14.321 -18.728 5.578 I
-4.837 -4.396 2.413 I
-18.276 -5.418 5.521 Cl
-20.778 -12.646 4.457 Cl
-6.017 -9.539 1.986 Cl
-12.116 -17.946 5.194 Cl
-15.257 -14.864 6.427 Cl
-19.167 -9.669 0.480 Cl
-19.754 -17.007 3.640 Cl
-13.456 -13.923 3.532 Cl
-8.842 -16.677 4.448 Cl
-10.353 -6.487 3.249 Cl
-7.628 -12.515 5.962 Cl
-8.519 -16.767 0.922 Cl
-17.952 -5.507 1.994 Cl
-11.017 -10.058 6.058 Cl
-16.496 -12.305 4.416 Cl
-14.678 -4.239 1.249 Cl
-11.537 -7.320 0.016 Cl
-9.310 -13.728 2.426 Cl
-16.441 -15.698 3.194 Cl
-7.041 -5.177 2.803 Cl
-10.298 -9.879 2.026 Cl
-13.338 -8.261 2.910 Cl
-15.778 -12.127 0.384 Cl
-17.484 -8.457 4.017 Cl


Entry 6:
Na16Al12Si12I3ClO48 PBE-GGA relaxed; magnetization = 0.0 μB/f.u.; mass density = 2.5 g/cm3; E_form = -3.023 eV per atom
1.0
9.082 0.000 0.000
0.000 9.082 0.000
0.000 0.000 18.163
Na Al Si I Cl O
16 12 12 3 1 48
Cartesian
2.762 6.320 2.762 Na
2.762 6.320 11.844 Na
6.320 2.762 2.762 Na
6.320 2.762 11.844 Na
2.762 2.762 6.320 Na
2.762 2.762 15.402 Na
6.320 6.320 6.320 Na
6.320 6.320 15.402 Na
7.302 7.302 1.779 Na
7.350 7.350 10.814 Na
1.732 7.350 7.349 Na
1.779 7.302 16.384 Na
7.350 1.732 7.349 Na
7.302 1.779 16.384 Na
1.779 1.779 1.779 Na
1.732 1.732 10.814 Na
4.541 0.000 2.271 Al
4.541 0.000 11.353 Al
0.000 6.811 4.541 Al
9.081 6.811 13.622 Al
2.270 4.541 0.000 Al
2.271 4.541 9.082 Al
9.081 2.271 4.541 Al
0.000 2.271 13.622 Al
6.811 4.541 0.000 Al
6.811 4.541 9.082 Al
4.541 0.000 6.811 Al
4.541 0.000 15.893 Al
0.000 4.541 2.270 Si
0.000 4.541 11.351 Si
4.541 6.811 0.000 Si
4.541 6.813 9.082 Si
2.270 9.081 4.542 Si
2.270 0.001 13.621 Si
4.541 2.271 0.000 Si
4.541 2.269 9.082 Si
6.812 0.001 4.542 Si
6.812 9.081 13.621 Si
0.000 4.541 6.813 Si
0.000 4.541 15.893 Si
4.541 4.541 4.540 I
4.541 4.541 13.623 I
0.000 0.000 0.000 I
0.000 0.000 9.082 Cl
3.168 8.605 3.254 O
3.166 8.604 12.335 O
0.477 5.827 3.168 O
0.478 5.829 12.248 O
3.254 5.914 0.477 O
3.253 5.915 9.559 O
5.914 0.477 3.254 O
5.915 0.477 12.335 O
8.605 3.254 3.168 O
8.604 3.253 12.248 O
5.828 3.168 0.477 O
5.828 3.167 9.559 O
3.166 0.477 5.828 O
3.168 0.477 14.909 O
0.478 3.253 5.915 O
0.477 3.254 14.996 O
3.253 3.167 8.604 O
3.254 3.168 17.687 O
5.915 8.604 5.828 O
5.914 8.605 14.909 O
8.604 5.829 5.915 O
8.605 5.827 14.996 O
5.828 5.915 8.604 O
5.828 5.914 17.687 O
7.709 7.795 4.064 O
7.710 7.797 13.142 O
5.018 7.709 1.287 O
5.021 7.710 10.367 O
7.795 5.018 1.373 O
7.796 5.021 10.453 O
1.372 7.797 5.021 O
1.373 7.795 14.099 O
4.060 7.710 7.796 O
4.064 7.709 16.877 O
1.285 5.021 7.710 O
1.287 5.018 16.790 O
7.710 1.285 5.021 O
7.709 1.287 14.099 O
5.021 1.372 7.796 O
5.018 1.373 16.877 O
7.796 4.061 7.710 O
7.795 4.064 16.790 O
1.373 1.287 4.064 O
1.372 1.285 13.142 O
4.064 1.373 1.287 O
4.060 1.372 10.367 O
1.287 4.064 1.373 O
1.285 4.061 10.453 O


Entry 7:
AlInCl4 PBE-GGA relaxed; mass density = 2.5 g/cm3; E_form = -1.751 eV per atom
1.0
-0.034 2.738 6.603
1.110 -8.655 3.595
10.944 1.217 -0.448
Al In Cl
4 4 16
Cartesian
7.080 -4.277 7.615 Al
10.547 -0.873 2.352 Al
4.940 -0.422 2.135 Al
1.472 -3.826 7.399 Al
7.827 0.180 5.770 In
2.216 0.662 5.542 In
4.192 -4.879 3.980 In
9.804 -5.361 4.209 In
5.009 -2.266 1.003 Cl
3.080 0.577 1.711 Cl
10.302 0.951 3.491 Cl
8.940 -5.277 8.039 Cl
1.717 -5.651 6.259 Cl
3.027 -2.447 6.835 Cl
1.701 -4.308 9.497 Cl
4.993 -0.923 4.241 Cl
5.385 -5.497 8.112 Cl
10.319 -0.392 0.253 Cl
1.559 -2.905 3.147 Cl
10.460 -1.795 6.603 Cl
6.634 0.798 1.638 Cl
7.010 -2.433 8.747 Cl
7.027 -3.776 5.509 Cl
8.993 -2.253 2.916 Cl


Entry 8:
K2NaAlCl6 PBE-GGA relaxed; magnetization = 0.0 μB/f.u.; mass density = 2.2 g/cm3; E_form = -2.122 eV per atom
1.0
6.517 -0.671 2.968
1.652 -5.910 3.752
4.693 -4.755 -2.663
K Na Al Cl
2 1 1 6
Cartesian
9.646 -8.502 3.043 K
3.215 -2.834 1.014 K
6.431 -5.668 2.029 Na
0.000 0.000 0.000 Al
6.477 -2.972 2.535 Cl
5.493 -5.176 -0.502 Cl
6.384 -8.363 1.522 Cl
3.853 -5.798 2.958 Cl
9.008 -5.537 1.099 Cl
7.368 -6.160 4.559 Cl


Copy entry 1 word for word.
AlH20RuCl6O10 PBE-GGA relaxed; magnetization = 1.0 μB/f.u.; mass density = 2.0 g/cm3; E_form = -1.263 eV per atom
1.0
11.565 0.000 0.000
0.000 7.103 0.000
0.000 6.677 10.468
Al H Ru Cl O
2 40 2 12 20
Cartesian
5.782 3.338 5.234 Al
0.000 0.000 0.000 Al
9.989 7.158 8.508 H
3.800 12.741 9.270 H
1.818 3.529 2.176 H
9.271 6.547 1.070 H
9.747 10.251 8.292 H
6.360 8.147 4.155 H
10.470 5.860 1.945 H
7.601 6.912 3.058 H
10.987 11.485 9.389 H
7.073 6.776 0.834 H
5.204 5.632 6.313 H
4.687 4.581 3.289 H
0.433 12.314 8.389 H
3.305 6.718 5.974 H
4.491 7.003 9.634 H
10.070 8.493 9.446 H
5.350 8.976 3.155 H
3.489 3.894 4.164 H
11.132 1.466 2.079 H
8.260 7.062 4.494 H
1.575 6.621 1.960 H
7.358 3.820 3.274 H
3.964 6.867 7.411 H
9.582 4.377 6.433 H
1.982 9.403 4.035 H
2.477 3.379 0.740 H
0.578 2.294 1.079 H
9.088 10.400 9.728 H
4.287 8.625 6.257 H
1.095 7.920 8.523 H
7.277 5.154 4.211 H
6.215 4.804 7.314 H
7.765 1.038 1.199 H
1.291 3.665 4.400 H
1.495 5.287 1.023 H
10.274 10.114 6.068 H
2.294 7.232 9.398 H
4.207 9.960 7.194 H
8.076 9.886 6.304 H
6.877 9.198 7.179 H
0.000 6.890 5.234 Ru
5.782 3.551 0.000 Ru
6.541 8.475 9.057 Cl
1.974 7.196 3.911 Cl
0.759 8.643 6.645 Cl
6.982 11.827 9.185 Cl
1.200 5.291 6.517 Cl
9.591 6.583 6.557 Cl
5.024 5.305 1.411 Cl
10.806 5.136 3.823 Cl
7.756 3.245 1.323 Cl
4.583 1.953 1.283 Cl
10.365 8.488 3.951 Cl
3.808 10.534 9.145 Cl
9.556 10.506 6.616 O
7.145 4.154 4.189 O
1.330 7.549 9.427 O
7.411 6.830 4.043 O
3.774 6.612 9.087 O
7.791 7.167 1.382 O
5.830 4.847 6.386 O
1.363 6.287 1.045 O
1.628 3.611 1.191 O
4.453 4.210 4.193 O
5.734 8.932 4.082 O
11.517 1.509 1.152 O
7.112 9.569 6.275 O
10.235 6.231 1.041 O
0.048 12.271 9.316 O
9.936 10.169 9.277 O
10.202 7.492 9.423 O
4.419 9.625 6.279 O
2.008 3.274 3.852 O
4.154 6.949 6.425 O


Which formula does entry 6 have?
Na16Al12Si12I3ClO48


Which value of E_form does entry 2 give?
-1.265 eV per atom


The lowest E_form belongs to which entry?
Na16Al12Si12I3ClO48